Here is crystalline Na8HfZn3P6O24 at its relaxed geometry from Materials Project. Energies are from GGA-PBE.

## Properties
* ΔH_f (0 K): -2.619 eV/atom
* symmetry: No. 143
* electronic total energy: -6.41 eV/atom
* total magnetic moment: 0.001 μB/cell

Unit cell a=9.1166 b=9.1166 c=22.1270 alpha=90.00 beta=90.00 gamma=120.00
Closest atoms and distances in Å follow each position.
Sites, in units of the cell vectors:
Na 0.0000 0.0000 0.0724  3 O 2.39
Na 0.0000 0.0000 0.5743  6 O 2.43-2.67
Na 0.0017 0.3730 0.8403  5 O 2.43-2.56
Na 0.0369 0.3490 0.1568  5 O 2.44-2.66
Na 0.0414 0.6930 0.6637  5 O 2.41-2.62
Na 0.3070 0.3484 0.6637  5 O 2.41-2.62
Na 0.3121 0.9631 0.1568  5 O 2.44-2.66
Na 0.3187 0.0214 0.4907  5 O 2.38-2.65
Na 0.3333 0.6667 0.2451  6 O 2.50-2.60
Na 0.3333 0.6667 0.7546  6 O 2.41-2.69
Na 0.3344 0.2997 0.0000  6 O 2.50-2.71
Na 0.3712 0.9983 0.8403  5 O 2.43-2.56
Na 0.3735 0.3718 0.3296  6 O 2.46-2.72
Na 0.6270 0.6288 0.8403  5 O 2.43-2.56
Na 0.6282 0.0017 0.3296  6 O 2.46-2.72
Na 0.6510 0.6879 0.1568  5 O 2.44-2.66
Na 0.6516 0.9586 0.6637  5 O 2.41-2.62
Na 0.6667 0.3333 0.4042  3 O 2.37
Na 0.6667 0.3333 0.9212  6 O 2.45-2.68
Na 0.7003 0.0347 0.0000  6 O 2.50-2.71
Na 0.7027 0.6813 0.4907  5 O 2.38-2.65
Na 0.9653 0.6656 0.0000  6 O 2.50-2.71
Na 0.9786 0.2973 0.4907  5 O 2.38-2.65
Na 0.9983 0.6265 0.3296  6 O 2.46-2.72
Hf 0.0000 0.0000 0.2313  6 O 2.05-2.08
Hf 0.0000 0.0000 0.7320  6 O 2.00-2.16
Hf 0.6667 0.3333 0.5643  6 O 2.06-2.08
Zn 0.0000 0.0000 0.4250  3 O 2.01
Zn 0.0000 0.0000 0.9311  6 O 2.07-2.17
Zn 0.3333 0.6667 0.0894  3 O 2.01
Zn 0.3333 0.6667 0.4000  6 O 2.10-2.20
Zn 0.3333 0.6667 0.5918  6 O 2.02-2.26
Zn 0.3333 0.6667 0.9093  3 O 2.00
Zn 0.6667 0.3333 0.0670  6 O 2.10-2.18
Zn 0.6667 0.3333 0.2576  3 O 2.01
Zn 0.6667 0.3333 0.7662  6 O 2.08-2.13
P 0.9996 0.2977 0.3346  4 O 1.55-1.57
P 0.0344 0.3682 0.9983  4 O 1.55-1.56
P 0.0377 0.6666 0.4997  4 O 1.53-1.59
P 0.2982 0.0004 0.3346  4 O 1.55-1.57
P 0.2982 0.2961 0.8327  4 O 1.52-1.61
P 0.3334 0.3711 0.4997  4 O 1.53-1.59
P 0.3338 0.9656 0.9983  4 O 1.55-1.56
P 0.3711 0.3338 0.1665  4 O 1.53-1.60
P 0.3717 0.0370 0.6672  4 O 1.51-1.58
P 0.6289 0.9623 0.4997  4 O 1.53-1.59
P 0.6318 0.6662 0.9983  4 O 1.55-1.56
P 0.6653 0.6283 0.6672  4 O 1.51-1.58
P 0.6662 0.0373 0.1665  4 O 1.53-1.60
P 0.7023 0.7018 0.3346  4 O 1.55-1.57
P 0.7039 0.0021 0.8327  4 O 1.52-1.61
P 0.9630 0.3347 0.6672  4 O 1.51-1.58
P 0.9627 0.6289 0.1665  4 O 1.53-1.60
P 0.9979 0.7018 0.8327  4 O 1.52-1.61
O 0.0120 0.8219 0.4952  1 P 1.55
O 0.0173 0.1898 0.9946  1 P 1.56
O 0.0195 0.8164 0.7742  1 P 1.61
O 0.0199 0.2013 0.2792  1 P 1.57
O 0.1123 0.6289 0.4436  1 P 1.53
O 0.1145 0.4774 0.9406  1 P 1.56
O 0.1427 0.4888 0.6597  1 P 1.54
O 0.1435 0.6547 0.1616  1 P 1.55
O 0.1428 0.6938 0.5577  1 P 1.55
O 0.1450 0.4504 0.0553  1 P 1.55
O 0.1618 0.6910 0.8324  1 P 1.55
O 0.1644 0.4722 0.3351  1 P 1.55
O 0.1725 0.9827 0.9946  1 P 1.56
O 0.1781 0.1901 0.4952  1 P 1.55
O 0.1814 0.9801 0.2792  1 P 1.57
O 0.1836 0.2031 0.7742  1 P 1.61
O 0.1883 0.1700 0.1736  1 P 1.60
O 0.1922 0.0246 0.6689  1 P 1.58
O 0.2134 0.1847 0.8876  1 P 1.52
O 0.2180 0.0281 0.3921  1 P 1.55
O 0.3053 0.8550 0.0553  1 P 1.55
O 0.3062 0.4490 0.5577  1 P 1.55
O 0.3078 0.8356 0.3351  1 P 1.55
O 0.3090 0.4708 0.8324  1 P 1.55
O 0.3453 0.4888 0.1616  1 P 1.55
O 0.3461 0.8573 0.6597  1 P 1.54
O 0.3629 0.8855 0.9406  1 P 1.56
O 0.3711 0.4834 0.4436  1 P 1.53
O 0.4452 0.2955 0.1105  1 P 1.53
O 0.4573 0.1521 0.6100  1 P 1.58
O 0.4753 0.1598 0.3283  1 P 1.55
O 0.4752 0.3140 0.8262  1 P 1.54
O 0.4765 0.3612 0.2246  1 P 1.55
O 0.4799 0.1198 0.7225  1 P 1.51
O 0.4951 0.1439 0.0029  1 P 1.56
O 0.4973 0.3522 0.5065  1 P 1.59
O 0.5112 0.6539 0.6597  1 P 1.54
O 0.5112 0.8565 0.1616  1 P 1.55
O 0.5166 0.8877 0.4436  1 P 1.53
O 0.5226 0.6371 0.9406  1 P 1.56
O 0.5278 0.6922 0.3351  1 P 1.55
O 0.5292 0.8382 0.8324  1 P 1.55
O 0.5496 0.6947 0.0553  1 P 1.55
O 0.5510 0.8572 0.5577  1 P 1.55
O 0.6388 0.1154 0.2246  1 P 1.55
O 0.6399 0.5201 0.7225  1 P 1.51
O 0.6478 0.1451 0.5065  1 P 1.59
O 0.6488 0.5049 0.0029  1 P 1.56
O 0.6846 0.5247 0.3283  1 P 1.55
O 0.6860 0.1612 0.8262  1 P 1.55
O 0.6947 0.5427 0.6100  1 P 1.58
O 0.7045 0.1497 0.1105  1 P 1.53
O 0.7969 0.9805 0.7742  1 P 1.61
O 0.7987 0.8186 0.2792  1 P 1.57
O 0.8101 0.7820 0.3921  1 P 1.55
O 0.8102 0.8275 0.9946  1 P 1.56
O 0.8099 0.9880 0.4952  1 P 1.55
O 0.8153 0.0286 0.8876  1 P 1.52
O 0.8300 0.0183 0.1736  1 P 1.60
O 0.8323 0.8078 0.6689  1 P 1.58
O 0.8388 0.5248 0.8262  1 P 1.55
O 0.8402 0.3154 0.3283  1 P 1.55
O 0.8479 0.3053 0.6100  1 P 1.58
O 0.8503 0.5548 0.1105  1 P 1.53
O 0.8549 0.5027 0.5065  1 P 1.59
O 0.8561 0.3512 0.0029  1 P 1.56
O 0.8802 0.3601 0.7225  1 P 1.51
O 0.8846 0.5235 0.2246  1 P 1.55
O 0.9714 0.7866 0.8876  1 P 1.52
O 0.9719 0.1899 0.3921  1 P 1.55
O 0.9754 0.1677 0.6689  1 P 1.58
O 0.9817 0.8117 0.1736  1 P 1.60